(1)
First-principles (PBE-GGA) data for Cd5GeP2O12 after structural relaxation, as listed in the Materials Project.

SG: P2_12_12_1 (19)
ρ: 5.4 g/cm³
V: 13.71 Å³/atom
ΔE_f: -2.0643 eV per atom
Total moment: 0.00 μB per formula unit
DFT total energy: -0.413 Ry/atom

Cell: 6.8857 10.4000 15.3151 Å, 90.00 90.00 90.00°
Closest atoms and distances in Å follow each position.
Sites, in units of the cell vectors:
O (0.5473, 0.2462, 0.0953)  1 Ge 1.80
O (0.4370, 0.0339, 0.8034)  1 P 1.57
O (0.2258, 0.5476, 0.6414)  1 P 1.56
O (0.6579, 0.2139, 0.7399)  1 P 1.55
O (0.2095, 0.5367, 0.3672)  1 Ge 1.77
O (0.7120, 0.4410, 0.9996)  1 P 1.56
O (0.8390, 0.7718, 0.7719)  1 Ge 1.76
O (0.8319, 0.3563, 0.4164)  1 P 1.55
O (0.7095, 0.9633, 0.6328)  1 Ge 1.77
O (0.9527, 0.7538, 0.5953)  1 Ge 1.80
O (0.5630, 0.5339, 0.6966)  1 P 1.57
O (0.4168, 0.0189, 0.2005)  1 Ge 1.79
O (0.4828, 0.8861, 0.9988)  1 P 1.56
O (0.2905, 0.4633, 0.8672)  1 Ge 1.77
O (0.5481, 0.2316, 0.8950)  1 P 1.58
O (0.9168, 0.4811, 0.7995)  1 Ge 1.79
O (0.5832, 0.5189, 0.2995)  1 Ge 1.79
O (0.1610, 0.2718, 0.7281)  1 Ge 1.76
O (0.1702, 0.8577, 0.9131)  1 P 1.56
O (0.6702, 0.6423, 0.0869)  1 P 1.56
O (0.9828, 0.6139, 0.0012)  1 P 1.56
O (0.7742, 0.0476, 0.8586)  1 P 1.56
O (0.7905, 0.0367, 0.1328)  1 Ge 1.77
O (0.7880, 0.5590, 0.4996)  1 P 1.56
O (0.4519, 0.7316, 0.6050)  1 P 1.58
O (0.1681, 0.8563, 0.0836)  1 P 1.55
O (0.2742, 0.4524, 0.1414)  1 P 1.56
O (0.2880, 0.9410, 0.5004)  1 P 1.56
O (0.0481, 0.2684, 0.1050)  1 P 1.58
O (0.4527, 0.7462, 0.4047)  1 Ge 1.80
O (0.9519, 0.7684, 0.3950)  1 P 1.58
O (0.0630, 0.9661, 0.3034)  1 P 1.57
O (0.3390, 0.7282, 0.2281)  1 Ge 1.76
O (0.7258, 0.9524, 0.3586)  1 P 1.56
O (0.9370, 0.4661, 0.1966)  1 P 1.57
O (0.6681, 0.6437, 0.9164)  1 P 1.55
O (0.3319, 0.1437, 0.5836)  1 P 1.55
O (0.6610, 0.2282, 0.2719)  1 Ge 1.76
O (0.0832, 0.9811, 0.7005)  1 Ge 1.79
O (0.8298, 0.3577, 0.5869)  1 P 1.56
O (0.8421, 0.7861, 0.2399)  1 P 1.55
O (0.2120, 0.0590, 0.0004)  1 P 1.56
O (0.5172, 0.3861, 0.5012)  1 P 1.56
O (0.1579, 0.2861, 0.2601)  1 P 1.55
O (0.3421, 0.7139, 0.7601)  1 P 1.55
O (0.0172, 0.1139, 0.4988)  1 P 1.56
O (0.3298, 0.1423, 0.4131)  1 P 1.56
O (0.0473, 0.2538, 0.9047)  1 Ge 1.80
Cd (0.8943, 0.5508, 0.3409)  5 O 2.21-2.44
Cd (0.9056, 0.1644, 0.3608)  4 O 2.23-2.49
Cd (0.6057, 0.4492, 0.8409)  5 O 2.21-2.44
Cd (0.0878, 0.6629, 0.8596)  6 O 2.26-2.50
Cd (0.0944, 0.6644, 0.1392)  4 O 2.23-2.49
Cd (0.3041, 0.2796, 0.9986)  5 O 2.26-2.40
Cd (0.3943, 0.9492, 0.6591)  5 O 2.21-2.44
Cd (0.4056, 0.3356, 0.6392)  4 O 2.23-2.49
Cd (0.6959, 0.7796, 0.5014)  5 O 2.26-2.40
Cd (0.8934, 0.5553, 0.6599)  5 O 2.28-2.38
Cd (0.4122, 0.3371, 0.3596)  6 O 2.26-2.50
Cd (0.9122, 0.1629, 0.6404)  6 O 2.26-2.50
Cd (0.6066, 0.4447, 0.1599)  5 O 2.28-2.38
Cd (0.1057, 0.0508, 0.1591)  5 O 2.21-2.44
Cd (0.8041, 0.2204, 0.0014)  5 O 2.26-2.40
Cd (0.1066, 0.0553, 0.8401)  5 O 2.28-2.38
Cd (0.1959, 0.7204, 0.4986)  5 O 2.26-2.40
Cd (0.3934, 0.9447, 0.3401)  5 O 2.28-2.38
Cd (0.5878, 0.8371, 0.1404)  6 O 2.26-2.50
Cd (0.5944, 0.8356, 0.8608)  4 O 2.23-2.49
Ge (0.1054, 0.3672, 0.8198)  4 O 1.76-1.80
Ge (0.3946, 0.6328, 0.3198)  4 O 1.76-1.80
Ge (0.8946, 0.8672, 0.6802)  4 O 1.76-1.80
Ge (0.6054, 0.1328, 0.1802)  4 O 1.76-1.80
P (0.3942, 0.6323, 0.6783)  4 O 1.55-1.58
P (0.7405, 0.4122, 0.5008)  4 O 1.55-1.56
P (0.1058, 0.3677, 0.1783)  4 O 1.55-1.58
P (0.2595, 0.9122, 0.9992)  4 O 1.55-1.56
P (0.2405, 0.0878, 0.4992)  4 O 1.55-1.56
P (0.7595, 0.5878, 0.0008)  4 O 1.55-1.56
P (0.6058, 0.1323, 0.8217)  4 O 1.55-1.58
P (0.8942, 0.8677, 0.3217)  4 O 1.55-1.58

=====

(2)
First-principles (PBE-GGA) data for Pm2CdGe after structural relaxation, as listed in the Materials Project.

SG: Fm-3m (225)
ρ: 7.6 g/cm³
V: 26.02 Å³/atom
ΔE_f: -0.4902 eV per atom
DFT total energy: -0.313 Ry/atom

Cell: 5.2800 5.2800 5.2800 Å, 60.00 60.00 60.00°
Closest atoms and distances in Å follow each position.
Sites, in units of the cell vectors:
Ge (0.0000, 0.0000, 0.0000)  8 Pm 3.23
Cd (0.5000, 0.5000, 0.5000)  8 Pm 3.23
Pm (0.2500, 0.2500, 0.2500)  4 Ge 3.23, 4 Cd 3.23
Pm (0.7500, 0.7500, 0.7500)  4 Cd 3.23, 4 Ge 3.23